Model 1:
Here is ZnP2WO7 after structural relaxation from the Materials Project database. Energies are from GGA+U.

Values from the calculation:
space group: P-1 (2)
size of the total moment: 3.00 μB/f.u.

Cell: 6.7321 6.7331 6.9668 Å, 85.59 67.92 82.38°
Positions (direct):
Zn 0.1887 0.1291 0.3450
Zn 0.8113 0.8709 0.6550
P 0.1518 0.6180 0.1509
P 0.2724 0.8619 0.7443
P 0.7276 0.1381 0.2557
P 0.8482 0.3820 0.8491
W 0.3986 0.3479 0.7188
W 0.6014 0.6521 0.2812
O 0.0813 0.3859 0.7006
O 0.1104 0.9402 0.6405
O 0.1375 0.7867 0.9727
O 0.2483 0.4198 0.0380
O 0.2914 0.6907 0.2529
O 0.4061 0.0235 0.7599
O 0.4262 0.6736 0.6305
O 0.5738 0.3264 0.3695
O 0.5939 0.9765 0.2401
O 0.7086 0.3093 0.7471
O 0.7517 0.5802 0.9620
O 0.8625 0.2133 0.0273
O 0.8896 0.0598 0.3595
O 0.9187 0.6141 0.2994


Model 2:
Here is ZnP2WO7 after structural relaxation from the Materials Project database. Energies are from GGA+U.

Values from the calculation:
space group: P-1 (2)
size of the total moment: 0.00 μB/f.u.

Cell: 5.5308 6.6232 8.2830 Å, 93.69 91.24 112.14°
Positions (direct):
Zn 0.1565 0.1833 0.3826
Zn 0.8435 0.8167 0.6174
P 0.3002 0.7298 0.4109
P 0.3258 0.1532 0.8531
P 0.6742 0.8468 0.1469
P 0.6998 0.2702 0.5891
W 0.1666 0.6124 0.8597
W 0.8334 0.3876 0.1403
O 0.0972 0.9223 0.8299
O 0.1233 0.8554 0.4567
O 0.1482 0.4967 0.3289
O 0.2445 0.3297 0.7950
O 0.4590 0.2011 0.0204
O 0.4665 0.8749 0.2745
O 0.4690 0.7146 0.5539
O 0.5310 0.2854 0.4461
O 0.5335 0.1251 0.7255
O 0.5410 0.7989 0.9796
O 0.7555 0.6703 0.2050
O 0.8518 0.5033 0.6711
O 0.8767 0.1446 0.5433
O 0.9028 0.0777 0.1701


It turns out model 1 is the most stable, with the second structure 0.095 eV/atom higher.